Entry 1:
{"formula": "Sr4Ca2Cu4Bi4IO16", "functional": "GGA-PBE", "state": "optimized geometry", "cell": [[5.525, 0.000, 0.000], [0.000, 0.000, 5.232], [-2.763, -34.953, 0.000]], "species": ["O", "O", "O", "O", "O", "O", "O", "O", "O", "O", "O", "O", "O", "O", "O", "O", "O", "O", "O", "O", "O", "O", "O", "O", "O", "O", "O", "O", "O", "O", "O", "O", "Ca", "Ca", "Ca", "Ca", "Sr", "Sr", "Sr", "Sr", "Sr", "Sr", "Sr", "Sr", "Bi", "Bi", "Bi", "Bi", "Bi", "Bi", "Bi", "Bi", "I", "I", "Cu", "Cu", "Cu", "Cu", "Cu", "Cu", "Cu", "Cu"], "frac_coords": [[0.411, 0.250, 0.822], [0.365, 0.250, 0.730], [0.397, 0.000, 0.345], [0.688, 0.000, 0.896], [0.866, 0.250, 0.731], [0.948, 0.500, 0.345], [0.817, 0.500, 0.954], [0.208, 0.500, 0.896], [0.589, 0.750, 0.178], [0.183, 0.500, 0.046], [0.911, 0.750, 0.822], [0.589, 0.250, 0.178], [0.537, 0.500, 0.397], [0.052, 0.500, 0.655], [0.866, 0.750, 0.731], [0.137, 0.000, 0.954], [0.089, 0.750, 0.178], [0.860, 0.000, 0.397], [0.089, 0.250, 0.178], [0.603, 0.000, 0.655], [0.365, 0.750, 0.730], [0.863, 0.000, 0.046], [0.911, 0.250, 0.822], [0.792, 0.500, 0.104], [0.134, 0.250, 0.269], [0.635, 0.250, 0.270], [0.635, 0.750, 0.270], [0.312, 0.000, 0.104], [0.411, 0.750, 0.822], [0.134, 0.750, 0.269], [0.463, 0.500, 0.603], [0.140, 0.000, 0.603], [0.363, 0.500, 0.225], [0.862, 0.000, 0.225], [0.637, 0.500, 0.775], [0.138, 0.000, 0.775], [0.187, 0.000, 0.872], [0.593, 0.500, 0.677], [0.315, 0.500, 0.128], [0.916, 0.000, 0.323], [0.685, 0.500, 0.872], [0.407, 0.500, 0.323], [0.084, 0.000, 0.677], [0.813, 0.000, 0.128], [0.205, 0.500, 0.955], [0.920, 0.500, 0.404], [0.795, 0.500, 0.045], [0.750, 0.000, 0.955], [0.080, 0.500, 0.596], [0.516, 0.000, 0.596], [0.250, 0.000, 0.045], [0.484, 0.000, 0.404], [0.500, 0.500, 0.500], [0.000, 0.000, 0.500], [0.615, 0.000, 0.731], [0.885, 0.500, 0.269], [0.159, 0.500, 0.819], [0.115, 0.500, 0.731], [0.385, 0.000, 0.269], [0.841, 0.500, 0.181], [0.660, 0.000, 0.819], [0.340, 0.000, 0.181]], "total_energy_ev_per_atom": -5.6236, "crystal_system": "orthorhombic", "e_form_mev_per_atom": -1997}



Entry 2:
{"formula": "Bi2SeO5", "functional": "GGA-PBE", "state": "optimized geometry", "cell": [[2.785, -8.312, 0.000], [2.785, 8.312, 0.000], [0.000, 0.000, 11.613]], "species": ["Bi", "Bi", "Bi", "Bi", "Bi", "Bi", "Bi", "Bi", "Se", "Se", "Se", "Se", "O", "O", "O", "O", "O", "O", "O", "O", "O", "O", "O", "O", "O", "O", "O", "O", "O", "O", "O", "O"], "frac_coords": [[0.772, 0.272, 0.614], [0.902, 0.071, 0.391], [0.242, 0.742, 0.871], [0.402, 0.571, 0.609], [0.272, 0.772, 0.386], [0.571, 0.402, 0.391], [0.742, 0.242, 0.129], [0.071, 0.902, 0.609], [0.073, 0.894, 0.143], [0.894, 0.073, 0.857], [0.394, 0.573, 0.143], [0.573, 0.394, 0.857], [0.174, 0.067, 0.266], [0.135, 0.635, 0.699], [0.125, 0.440, 0.208], [0.848, 0.546, 0.920], [0.440, 0.125, 0.792], [0.067, 0.174, 0.734], [0.766, 0.766, 0.500], [0.546, 0.848, 0.080], [0.674, 0.567, 0.734], [0.940, 0.625, 0.208], [0.887, 0.562, 0.507], [0.062, 0.387, 0.507], [0.635, 0.135, 0.301], [0.387, 0.062, 0.493], [0.348, 0.046, 0.080], [0.046, 0.348, 0.920], [0.625, 0.940, 0.792], [0.266, 0.266, 0.500], [0.562, 0.887, 0.493], [0.567, 0.674, 0.266]], "total_energy_ev_per_atom": -5.6527, "crystal_system": "orthorhombic", "e_form_mev_per_atom": -1580}



Entry 3:
{"formula": "ErTiO3", "functional": "GGA-PBE", "state": "optimized geometry", "cell": [[5.304, 0.000, 0.000], [0.000, 5.689, 0.000], [0.000, 0.000, 7.660]], "species": ["Er", "Er", "Er", "Er", "O", "O", "O", "O", "O", "O", "O", "O", "O", "O", "O", "O", "Ti", "Ti", "Ti", "Ti"], "frac_coords": [[0.477, 0.426, 0.250], [0.023, 0.926, 0.250], [0.523, 0.574, 0.750], [0.977, 0.074, 0.750], [0.313, 0.695, 0.061], [0.127, 0.451, 0.750], [0.687, 0.305, 0.939], [0.627, 0.049, 0.250], [0.687, 0.305, 0.561], [0.873, 0.549, 0.250], [0.373, 0.951, 0.750], [0.187, 0.195, 0.439], [0.813, 0.805, 0.939], [0.313, 0.695, 0.439], [0.187, 0.195, 0.061], [0.813, 0.805, 0.561], [0.000, 0.500, 0.500], [0.000, 0.500, 0.000], [0.500, 0.000, 0.000], [0.500, 0.000, 0.500]], "total_energy_ev_per_atom": -8.6932, "crystal_system": "orthorhombic", "e_form_mev_per_atom": -3644}



Entry 4:
{"formula": "SrBe2B2O6", "functional": "GGA-PBE", "state": "optimized geometry", "cell": [[-1.050, 4.368, 0.585], [0.226, -1.186, 9.260], [10.670, 1.895, 5.007]], "species": ["O", "O", "O", "O", "O", "O", "O", "O", "O", "O", "O", "O", "O", "O", "O", "O", "O", "O", "O", "O", "O", "O", "O", "O", "Sr", "Sr", "Sr", "Sr", "B", "B", "B", "B", "B", "B", "B", "B", "Be", "Be", "Be", "Be", "Be", "Be", "Be", "Be"], "frac_coords": [[0.011, 0.247, 0.969], [0.379, 0.923, 0.920], [0.837, 0.560, 0.914], [0.582, 0.941, 0.318], [0.492, 0.752, 0.788], [0.511, 0.753, 0.531], [0.489, 0.247, 0.469], [0.918, 0.941, 0.818], [0.418, 0.059, 0.682], [0.128, 0.479, 0.360], [0.372, 0.479, 0.860], [0.872, 0.521, 0.640], [0.989, 0.753, 0.031], [0.508, 0.248, 0.212], [0.337, 0.440, 0.586], [0.992, 0.248, 0.712], [0.663, 0.560, 0.414], [0.121, 0.923, 0.420], [0.082, 0.059, 0.182], [0.008, 0.752, 0.288], [0.628, 0.521, 0.140], [0.621, 0.077, 0.080], [0.879, 0.077, 0.580], [0.163, 0.440, 0.086], [0.973, 0.230, 0.345], [0.027, 0.770, 0.655], [0.473, 0.770, 0.155], [0.527, 0.230, 0.845], [0.062, 0.405, 0.644], [0.562, 0.595, 0.856], [0.438, 0.405, 0.144], [0.408, 0.870, 0.424], [0.592, 0.130, 0.576], [0.908, 0.130, 0.076], [0.938, 0.595, 0.356], [0.092, 0.870, 0.924], [0.903, 0.578, 0.047], [0.403, 0.422, 0.453], [0.597, 0.578, 0.547], [0.561, 0.909, 0.807], [0.097, 0.422, 0.953], [0.061, 0.091, 0.693], [0.939, 0.909, 0.307], [0.439, 0.091, 0.193]], "total_energy_ev_per_atom": -7.4867, "crystal_system": "monoclinic", "e_form_mev_per_atom": -3115}



Entry 5:
{"formula": "KSr2Cd2Sb3", "functional": "GGA-PBE", "state": "optimized geometry", "cell": [[4.905, 0.000, 0.000], [0.000, 12.968, 0.000], [0.000, 0.000, 16.576]], "species": ["K", "K", "K", "K", "Sb", "Sb", "Sb", "Sb", "Sb", "Sb", "Sb", "Sb", "Sb", "Sb", "Sb", "Sb", "Cd", "Cd", "Cd", "Cd", "Cd", "Cd", "Cd", "Cd", "Sr", "Sr", "Sr", "Sr", "Sr", "Sr", "Sr", "Sr"], "frac_coords": [[0.750, 0.593, 0.458], [0.250, 0.407, 0.542], [0.750, 0.093, 0.042], [0.250, 0.907, 0.958], [0.250, 0.121, 0.188], [0.750, 0.788, 0.089], [0.250, 0.580, 0.873], [0.750, 0.288, 0.411], [0.750, 0.379, 0.688], [0.750, 0.920, 0.373], [0.250, 0.080, 0.627], [0.250, 0.212, 0.911], [0.250, 0.712, 0.589], [0.250, 0.621, 0.312], [0.750, 0.879, 0.812], [0.750, 0.420, 0.127], [0.250, 0.300, 0.073], [0.250, 0.871, 0.723], [0.250, 0.371, 0.777], [0.750, 0.629, 0.223], [0.750, 0.200, 0.573], [0.250, 0.800, 0.427], [0.750, 0.700, 0.927], [0.750, 0.129, 0.277], [0.750, 0.899, 0.577], [0.750, 0.399, 0.923], [0.250, 0.601, 0.077], [0.250, 0.863, 0.222], [0.750, 0.137, 0.778], [0.750, 0.637, 0.722], [0.250, 0.363, 0.278], [0.250, 0.101, 0.423]], "total_energy_ev_per_atom": -3.0281, "crystal_system": "orthorhombic", "e_form_mev_per_atom": -760}



Entry 6:
{"formula": "Sr2MgReO6", "functional": "GGA-PBE", "state": "optimized geometry", "cell": [[1.014, -5.090, 2.237], [0.508, 2.292, 5.141], [-4.655, 0.892, -3.079]], "species": ["O", "O", "O", "O", "O", "O", "Sr", "Sr", "Re", "Mg"], "frac_coords": [[0.758, 0.758, 0.000], [0.209, 0.726, 0.935], [0.242, 0.242, 0.000], [0.726, 0.791, 0.517], [0.791, 0.274, 0.065], [0.274, 0.209, 0.483], [0.750, 0.250, 0.500], [0.250, 0.750, 0.500], [0.000, 0.000, 0.000], [0.500, 0.500, 0.000]], "total_energy_ev_per_atom": -7.1704, "crystal_system": "tetragonal", "e_form_mev_per_atom": -2871}



Entry 7:
{"formula": "Sm3Ni7P5", "functional": "GGA-PBE", "state": "optimized geometry", "cell": [[-1.502, -3.301, -1.399], [13.072, -1.788, -9.818], [13.198, -8.256, 5.308]], "species": ["P", "P", "P", "P", "P", "P", "P", "P", "P", "P", "P", "P", "P", "P", "P", "P", "P", "P", "P", "P", "Ni", "Ni", "Ni", "Ni", "Ni", "Ni", "Ni", "Ni", "Ni", "Ni", "Ni", "Ni", "Ni", "Ni", "Ni", "Ni", "Ni", "Ni", "Ni", "Ni", "Ni", "Ni", "Ni", "Ni", "Ni", "Ni", "Ni", "Ni", "Sm", "Sm", "Sm", "Sm", "Sm", "Sm", "Sm", "Sm", "Sm", "Sm", "Sm", "Sm"], "frac_coords": [[0.000, 0.819, 0.982], [0.000, 0.871, 0.722], [0.000, 0.408, 0.870], [0.500, 0.278, 0.593], [0.500, 0.593, 0.129], [0.500, 0.021, 0.794], [0.000, 0.464, 0.609], [0.000, 0.722, 0.407], [0.000, 0.667, 0.667], [0.000, 0.609, 0.928], [0.500, 0.072, 0.537], [0.500, 0.537, 0.391], [0.500, 0.794, 0.185], [0.500, 0.333, 0.333], [0.500, 0.183, 0.022], [0.000, 0.200, 0.817], [0.000, 0.928, 0.464], [0.500, 0.392, 0.072], [0.000, 0.977, 0.205], [0.500, 0.130, 0.278], [0.500, 0.177, 0.750], [0.000, 0.302, 0.655], [0.500, 0.284, 0.226], [0.000, 0.716, 0.774], [0.000, 0.042, 0.302], [0.500, 0.750, 0.073], [0.000, 0.251, 0.927], [0.000, 0.087, 0.059], [0.500, 0.344, 0.958], [0.000, 0.511, 0.716], [0.500, 0.074, 0.177], [0.000, 0.986, 0.566], [0.500, 0.014, 0.432], [0.500, 0.554, 0.015], [0.500, 0.697, 0.346], [0.000, 0.447, 0.986], [0.500, 0.908, 0.939], [0.000, 0.933, 0.824], [0.000, 0.774, 0.510], [0.500, 0.490, 0.284], [0.000, 0.657, 0.043], [0.500, 0.941, 0.148], [0.500, 0.432, 0.554], [0.500, 0.226, 0.490], [0.000, 0.823, 0.244], [0.500, 0.957, 0.697], [0.500, 0.148, 0.912], [0.000, 0.567, 0.447], [0.000, 0.120, 0.646], [0.000, 0.176, 0.384], [0.500, 0.824, 0.617], [0.000, 0.645, 0.234], [0.000, 0.236, 0.121], [0.500, 0.356, 0.765], [0.500, 0.878, 0.357], [0.000, 0.384, 0.440], [0.500, 0.766, 0.879], [0.000, 0.441, 0.176], [0.500, 0.617, 0.559], [0.500, 0.559, 0.824]], "total_energy_ev_per_atom": -6.3989, "crystal_system": "monoclinic", "e_form_mev_per_atom": -953}



Entry 8:
{"formula": "GdIr3", "functional": "GGA-PBE", "state": "optimized geometry", "cell": [[-1.676, -1.809, -3.241], [3.371, 0.748, -2.160], [1.555, -3.572, 1.190]], "species": ["Ir", "Ir", "Ir", "Gd"], "frac_coords": [[0.500, 0.500, 0.000], [0.500, 0.000, 0.500], [0.000, 0.500, 0.500], [0.000, 0.000, 0.000]], "total_energy_ev_per_atom": -10.5102, "crystal_system": "cubic", "e_form_mev_per_atom": -362}